(1)
A geometry-optimized LiFeP2HO7 structure, computed with PBE+U.

## Properties
MP2020-corrected energy = -7.301 eV/atom
V = 527 Å³ per cell
ΔE_f = -228 kJ/mol of atoms
Relative energy among the computed polymorphs = 0.00 eV per formula unit

Cell: 6.6085 10.7424 7.5077 Å, 87.94 84.15 95.21°
Element x y z (fractional)
Li 0.1163 0.5372 0.3161
Li 0.1164 0.0373 0.8162
Li 0.8836 0.4628 0.6839
Li 0.8836 0.9627 0.1839
Fe 0.3515 0.6922 0.5891
Fe 0.6486 0.3080 0.4107
Fe 0.3515 0.1918 0.0895
Fe 0.6484 0.8078 0.9107
P 0.1591 0.7738 0.9940
P 0.1591 0.2738 0.4940
P 0.8409 0.2263 0.0060
P 0.8409 0.7262 0.5060
P 0.3895 0.4102 0.7665
P 0.3896 0.9102 0.2665
P 0.6104 0.5898 0.2335
P 0.6104 0.0898 0.7336
H 0.1644 0.5795 0.9259
H 0.1645 0.0795 0.4259
H 0.8355 0.4205 0.0741
H 0.8355 0.9205 0.5741
O 0.0869 0.6288 0.0230
O 0.0870 0.1288 0.5230
O 0.9130 0.3712 0.9770
O 0.9130 0.8712 0.4770
O 0.0163 0.1455 0.0287
O 0.0162 0.6455 0.5286
O 0.9838 0.8545 0.9714
O 0.9838 0.3545 0.4714
O 0.2383 0.8019 0.1828
O 0.2382 0.3018 0.6828
O 0.7618 0.1981 0.8172
O 0.7617 0.6982 0.3172
O 0.2764 0.5295 0.7553
O 0.2765 0.0296 0.2554
O 0.7236 0.4705 0.2446
O 0.7235 0.9704 0.7447
O 0.3315 0.7935 0.8425
O 0.3316 0.2935 0.3425
O 0.6685 0.2066 0.1575
O 0.6685 0.7065 0.6575
O 0.3937 0.3615 0.9573
O 0.3937 0.8615 0.4572
O 0.6063 0.6385 0.0427
O 0.6063 0.1385 0.5428
O 0.4071 0.5811 0.3521
O 0.4071 0.0811 0.8522
O 0.5929 0.4189 0.6479
O 0.5929 0.9189 0.1478

---

(2)
A geometry-optimized CeSbMo2O9 structure, computed with PBE+U.

## Properties
MP2020-corrected energy = -8.222 eV/atom
Symmetry = No. 15
V = 901 Å³ per cell
ΔE_f = -227 kJ/mol of atoms

Cell: 9.9014 9.9014 11.0696 Å, 111.68 111.68 95.85°
Element x y z (fractional)
Ce 0.1235 0.8765 0.7500
Ce 0.3243 0.6757 0.2500
Ce 0.6757 0.3243 0.7500
Ce 0.8765 0.1235 0.2500
Sb 0.3527 0.3793 0.4627
Sb 0.3793 0.3527 0.9627
Sb 0.6207 0.6473 0.0373
Sb 0.6473 0.6207 0.5373
Mo 0.0487 0.2601 0.0278
Mo 0.0622 0.4349 0.6965
Mo 0.2601 0.0487 0.5278
Mo 0.4349 0.0622 0.1965
Mo 0.5651 0.9378 0.8035
Mo 0.7399 0.9513 0.4722
Mo 0.9378 0.5651 0.3035
Mo 0.9513 0.7399 0.9722
O 0.0141 0.6953 0.4894
O 0.0524 0.2283 0.1790
O 0.0617 0.0950 0.9011
O 0.0858 0.5584 0.2474
O 0.0950 0.0617 0.4011
O 0.1256 0.7025 0.0606
O 0.1414 0.6178 0.7222
O 0.2154 0.3744 0.8030
O 0.2187 0.4038 0.0755
O 0.2283 0.0524 0.6790
O 0.2975 0.8744 0.4394
O 0.3047 0.9859 0.0106
O 0.3744 0.2154 0.3030
O 0.3822 0.8586 0.7778
O 0.4038 0.2187 0.5755
O 0.4244 0.5401 0.4007
O 0.4416 0.9142 0.2526
O 0.4599 0.5756 0.0993
O 0.5401 0.4244 0.9007
O 0.5584 0.0858 0.7474
O 0.5756 0.4599 0.5993
O 0.5962 0.7813 0.4245
O 0.6178 0.1414 0.2222
O 0.6256 0.7846 0.6970
O 0.6953 0.0141 0.9894
O 0.7025 0.1256 0.5606
O 0.7717 0.9476 0.3210
O 0.7813 0.5962 0.9245
O 0.7846 0.6256 0.1970
O 0.8586 0.3822 0.2778
O 0.8744 0.2975 0.9394
O 0.9050 0.9383 0.5989
O 0.9142 0.4416 0.7526
O 0.9383 0.9050 0.0989
O 0.9476 0.7717 0.8210
O 0.9859 0.3047 0.5106

---

(3)
A geometry-optimized Li9Mn2Co5O16 structure, computed with PBE+U.

## Properties
MP2020-corrected energy = -6.510 eV/atom
Symmetry = No. 2
V = 287 Å³ per cell
ΔE_f = -175 kJ/mol of atoms
Relative energy among the computed polymorphs = 1.55 eV per formula unit

Cell: 5.0263 5.8631 9.8857 Å, 88.13 80.40 88.09°
Element x y z (fractional)
Li 0.0000 0.0000 0.0000
Li 0.2368 0.2470 0.7690
Li 0.2398 0.9941 0.2385
Li 0.2425 0.7577 0.7669
Li 0.2535 0.5011 0.2412
Li 0.7465 0.4989 0.7588
Li 0.7575 0.2423 0.2331
Li 0.7602 0.0059 0.7615
Li 0.7632 0.7530 0.2310
Mn 0.5000 0.0000 0.5000
Mn 0.5000 0.5000 0.5000
Co 0.9998 0.2518 0.5012
Co 0.0000 0.5000 0.0000
Co 0.0002 0.7482 0.4988
Co 0.4819 0.7597 0.0033
Co 0.5181 0.2403 0.9967
O 0.1218 0.9899 0.6061
O 0.1232 0.2756 0.1107
O 0.1329 0.4940 0.6045
O 0.1377 0.7457 0.1200
O 0.3546 0.7313 0.3878
O 0.3635 0.4975 0.8842
O 0.3705 0.2567 0.3954
O 0.3980 0.9915 0.8757
O 0.6020 0.0085 0.1243
O 0.6295 0.7433 0.6046
O 0.6365 0.5025 0.1158
O 0.6454 0.2687 0.6122
O 0.8623 0.2543 0.8800
O 0.8671 0.5060 0.3955
O 0.8768 0.7244 0.8893
O 0.8782 0.0101 0.3939

---

(4)
A geometry-optimized Li9Mn2Co5O16 structure, computed with PBE+U.

## Properties
MP2020-corrected energy = -6.450 eV/atom
Symmetry = No. 6
V = 290 Å³ per cell
ΔE_f = -169 kJ/mol of atoms
Relative energy among the computed polymorphs = 3.48 eV per formula unit

Cell: 5.1989 2.8879 19.4317 Å, 90.00 96.72 90.00°
Element x y z (fractional)
Li 0.0000 0.0000 0.0000
Li 0.0017 0.5000 0.4956
Li 0.2339 0.5000 0.2565
Li 0.2399 0.0000 0.7469
Li 0.4860 0.5000 0.9989
Li 0.4917 0.0000 0.4982
Li 0.6163 0.5000 0.3748
Li 0.7369 0.0000 0.2533
Li 0.7542 0.5000 0.7460
Mn 0.3658 0.0000 0.1272
Mn 0.6205 0.0000 0.8738
Co 0.1169 0.0000 0.3746
Co 0.1187 0.5000 0.8739
Co 0.3683 0.5000 0.6233
Co 0.8642 0.5000 0.1248
Co 0.8681 0.0000 0.6216
O 0.0215 0.0000 0.1811
O 0.0547 0.5000 0.6806
O 0.1857 0.0000 0.5663
O 0.2039 0.5000 0.0687
O 0.2862 0.5000 0.4292
O 0.2869 0.0000 0.9347
O 0.3790 0.0000 0.3211
O 0.4425 0.5000 0.8177
O 0.5307 0.5000 0.1853
O 0.5562 0.0000 0.6804
O 0.6798 0.5000 0.5628
O 0.7049 0.0000 0.0681
O 0.7941 0.5000 0.9307
O 0.8580 0.0000 0.4271
O 0.9488 0.5000 0.3192
O 0.9522 0.0000 0.8142

---

(5)
A geometry-optimized Li4Ti3V3Te2O16 structure, computed with PBE+U.

## Properties
MP2020-corrected energy = -7.713 eV/atom
V = 651 Å³ per cell
ΔE_f = -248 kJ/mol of atoms
Relative energy among the computed polymorphs = 0.00 eV per formula unit

Cell: 6.0945 10.3693 10.3013 Å, 90.06 90.02 88.21°
Element x y z (fractional)
Li 0.9940 0.3315 0.9061
Li 0.4941 0.8315 0.9061
Li 0.0062 0.0020 0.9853
Li 0.5061 0.5020 0.9853
Li 0.0024 0.0009 0.4955
Li 0.5025 0.5009 0.4957
Li 0.5052 0.1684 0.3958
Li 0.0053 0.6683 0.3959
Ti 0.2646 0.0883 0.7330
Ti 0.7646 0.5883 0.7330
Ti 0.7640 0.4203 0.2202
Ti 0.2643 0.9203 0.2202
Ti 0.0129 0.1720 0.2196
Ti 0.5134 0.6720 0.2200
V 0.7464 0.9154 0.2080
V 0.0030 0.8243 0.7162
V 0.2377 0.5893 0.7163
V 0.2461 0.4154 0.2078
V 0.5031 0.3242 0.7162
V 0.7376 0.0895 0.7163
Te 0.0054 0.3351 0.5124
Te 0.5053 0.8351 0.5125
Te 0.5171 0.1724 0.9962
Te 0.0170 0.6723 0.9962
O 0.7730 0.2576 0.3204
O 0.2730 0.7576 0.3203
O 0.9880 0.3294 0.1088
O 0.4885 0.8295 0.1090
O 0.0022 0.0007 0.3112
O 0.5026 0.5008 0.3113
O 0.0100 0.0034 0.8027
O 0.5100 0.5033 0.8027
O 0.2138 0.0712 0.1086
O 0.7139 0.5712 0.1085
O 0.2582 0.4195 0.6001
O 0.7582 0.9195 0.6001
O 0.4753 0.1585 0.6077
O 0.9752 0.6585 0.6078
O 0.7184 0.2395 0.8569
O 0.2185 0.7395 0.8570
O 0.7517 0.4158 0.6020
O 0.2516 0.9158 0.6021
O 0.9993 0.1680 0.6021
O 0.4993 0.6680 0.6022
O 0.9940 0.4924 0.3128
O 0.4940 0.9926 0.3127
O 0.2360 0.2507 0.3123
O 0.7361 0.7507 0.3127
O 0.2585 0.2391 0.8330
O 0.7586 0.7390 0.8331
O 0.4877 0.0099 0.8333
O 0.9877 0.5098 0.8332
O 0.5072 0.3423 0.0955
O 0.0071 0.8422 0.0953
O 0.7669 0.0824 0.0952
O 0.2669 0.5824 0.0955

---

(6)
A geometry-optimized NiF2 structure, computed with PBE+U.

## Properties
MP2020-corrected energy = -5.519 eV/atom
Symmetry = No. 58
V = 69 Å³ per cell
ΔE_f = -223 kJ/mol of atoms

Cell: 4.6441 4.7436 3.1182 Å, 90.00 90.00 90.00°
Element x y z (fractional)
Ni 0.0000 0.0000 0.0000
Ni 0.5000 0.5000 0.5000
F 0.2120 0.1801 0.5000
F 0.2880 0.6801 0.0000
F 0.7120 0.3199 0.0000
F 0.7880 0.8199 0.5000

---

(7)
A geometry-optimized Li2Mn5Fe2O12 structure, computed with PBE+U.

## Properties
MP2020-corrected energy = -7.953 eV/atom
Symmetry = No. 9
V = 466 Å³ per cell
ΔE_f = -189 kJ/mol of atoms
Relative energy among the computed polymorphs = 0.00 eV per formula unit

Cell: 5.9793 5.9793 13.6949 Å, 102.45 102.45 89.95°
Element x y z (fractional)
Li 0.1283 0.8717 0.5000
Li 0.1973 0.4635 0.6607
Li 0.4635 0.1973 0.1607
Li 0.8717 0.1283 0.0000
Mn 0.0023 0.0038 0.2532
Mn 0.0038 0.0023 0.7532
Mn 0.0056 0.4969 0.2508
Mn 0.1698 0.6693 0.0824
Mn 0.3277 0.3346 0.9111
Mn 0.3346 0.3277 0.4111
Mn 0.4969 0.0056 0.7508
Mn 0.6682 0.6693 0.0811
Mn 0.6693 0.1698 0.5824
Mn 0.6693 0.6682 0.5811
Fe 0.3339 0.8422 0.9135
Fe 0.5414 0.8014 0.3312
Fe 0.8014 0.5414 0.8312
Fe 0.8422 0.3339 0.4135
O 0.0596 0.0813 0.4009
O 0.0813 0.0596 0.9009
O 0.0927 0.5452 0.4026
O 0.1064 0.5783 0.9135
O 0.2213 0.2415 0.7595
O 0.2250 0.7521 0.2535
O 0.2415 0.2213 0.2595
O 0.2487 0.7918 0.7530
O 0.4104 0.8819 0.0683
O 0.4130 0.4427 0.0671
O 0.4427 0.4130 0.5671
O 0.4578 0.9269 0.5981
O 0.5452 0.0927 0.9026
O 0.5783 0.1064 0.4135
O 0.5822 0.6051 0.9112
O 0.6051 0.5822 0.4112
O 0.7521 0.2250 0.7535
O 0.7592 0.7758 0.2486
O 0.7758 0.7592 0.7486
O 0.7918 0.2487 0.2530
O 0.8819 0.4104 0.5683
O 0.8988 0.9301 0.6006
O 0.9269 0.4578 0.0981
O 0.9301 0.8988 0.1006

---

(8)
A geometry-optimized Co3TeMo6O42 structure, computed with PBE+U.

## Properties
MP2020-corrected energy = -6.351 eV/atom
Symmetry = No. 167
V = 1594 Å³ per cell
ΔE_f = -61 kJ/mol of atoms

Cell: 11.7580 11.7580 11.7580 Å, 96.25 96.25 96.25°
Element x y z (fractional)
Co 0.0787 0.2500 0.4213
Co 0.2500 0.4213 0.0787
Co 0.4213 0.0787 0.2500
Co 0.5787 0.9214 0.7500
Co 0.7500 0.5787 0.9213
Co 0.9213 0.7500 0.5787
Te 0.0000 0.0000 0.0000
Te 0.5000 0.5000 0.5000
Mo 0.0350 0.7959 0.1776
Mo 0.1776 0.0350 0.7959
Mo 0.2041 0.8224 0.9650
Mo 0.2959 0.5350 0.6776
Mo 0.3224 0.7041 0.4650
Mo 0.4650 0.3224 0.7041
Mo 0.5350 0.6776 0.2959
Mo 0.6776 0.2959 0.5350
Mo 0.7041 0.4650 0.3224
Mo 0.7959 0.1776 0.0350
Mo 0.8224 0.9650 0.2041
Mo 0.9650 0.2041 0.8224
O 0.0073 0.8333 0.9897
O 0.0103 0.9927 0.1667
O 0.0144 0.6974 0.6857
O 0.0213 0.8501 0.5304
O 0.0232 0.6455 0.1553
O 0.0304 0.3501 0.5213
O 0.0727 0.8340 0.3267
O 0.1300 0.1874 0.8346
O 0.1432 0.1520 0.3216
O 0.1455 0.5232 0.6553
O 0.1499 0.4696 0.9787
O 0.1520 0.3216 0.1432
O 0.1553 0.0232 0.6455
O 0.1654 0.8700 0.8126
O 0.1660 0.6733 0.9273
O 0.1667 0.0103 0.9927
O 0.1733 0.6660 0.4273
O 0.1784 0.3480 0.3568
O 0.1857 0.1974 0.5144
O 0.1874 0.8346 0.1300
O 0.1974 0.5144 0.1857
O 0.3026 0.3143 0.9856
O 0.3126 0.3700 0.6654
O 0.3143 0.9856 0.3026
O 0.3216 0.1432 0.1520
O 0.3267 0.0727 0.8340
O 0.3333 0.5073 0.4897
O 0.3340 0.5727 0.8267
O 0.3346 0.6874 0.6300
O 0.3447 0.8545 0.4768
O 0.3480 0.3568 0.1784
O 0.3501 0.5213 0.0304
O 0.3545 0.8447 0.9768
O 0.3568 0.1784 0.3480
O 0.3700 0.6654 0.3126
O 0.4273 0.1733 0.6660
O 0.4696 0.9787 0.1499
O 0.4768 0.3447 0.8545
O 0.4787 0.9696 0.6499
O 0.4856 0.8143 0.8026
O 0.4897 0.3333 0.5073
O 0.4927 0.5103 0.6667
O 0.5073 0.4897 0.3333
O 0.5103 0.6667 0.4927
O 0.5144 0.1857 0.1974
O 0.5213 0.0304 0.3501
O 0.5232 0.6553 0.1455
O 0.5304 0.0213 0.8501
O 0.5727 0.8268 0.3340
O 0.6300 0.3346 0.6874
O 0.6432 0.8216 0.6520
O 0.6455 0.1553 0.0232
O 0.6499 0.4787 0.9696
O 0.6520 0.6432 0.8216
O 0.6553 0.1455 0.5232
O 0.6654 0.3126 0.3700
O 0.6660 0.4273 0.1733
O 0.6667 0.4927 0.5103
O 0.6733 0.9273 0.1660
O 0.6784 0.8568 0.8480
O 0.6857 0.0144 0.6974
O 0.6874 0.6300 0.3346
O 0.6974 0.6857 0.0144
O 0.8026 0.4856 0.8143
O 0.8126 0.1654 0.8700
O 0.8143 0.8026 0.4856
O 0.8216 0.6520 0.6432
O 0.8267 0.3340 0.5727
O 0.8333 0.9897 0.0073
O 0.8340 0.3268 0.0727
O 0.8346 0.1300 0.1874
O 0.8447 0.9768 0.3545
O 0.8480 0.6784 0.8568
O 0.8501 0.5304 0.0213
O 0.8545 0.4768 0.3447
O 0.8568 0.8480 0.6784
O 0.8700 0.8126 0.1654
O 0.9273 0.1660 0.6733
O 0.9696 0.6499 0.4787
O 0.9768 0.3545 0.8447
O 0.9787 0.1499 0.4696
O 0.9856 0.3026 0.3143
O 0.9897 0.0073 0.8333
O 0.9927 0.1667 0.0103

---

(9)
A geometry-optimized V2ZnO4 structure, computed with PBE+U.

## Properties
MP2020-corrected energy = -7.834 eV/atom
Symmetry = No. 74
V = 160 Å³ per cell
ΔE_f = -215 kJ/mol of atoms
Relative energy among the computed polymorphs = 0.77 eV per formula unit

Cell: 6.1212 6.1212 6.1212 Å, 121.19 120.78 88.31°
Element x y z (fractional)
V 0.0000 0.0000 0.0000
V 0.3825 0.6325 0.7500
V 0.5000 0.0000 0.5000
V 0.6175 0.3675 0.2500
Zn 0.0000 0.0000 0.5000
Zn 0.0000 0.5000 0.0000
O 0.2280 0.2367 0.9913
O 0.2519 0.2343 0.4824
O 0.2519 0.7696 0.0176
O 0.2546 0.7633 0.4913
O 0.7454 0.2367 0.5087
O 0.7481 0.2304 0.9824
O 0.7481 0.7657 0.5176
O 0.7720 0.7633 0.0087

---

Which of these has the highest V? Co3TeMo6O42

---

Look up the MP2020-corrected energy of the seventh one. -7.953 eV/atom

---

The lowest ΔE_f belongs to which entry? Li4Ti3V3Te2O16

---

The lowest MP2020-corrected energy belongs to which entry? CeSbMo2O9